Entry 1:
Below is a relaxed structure of Sr3TiSi4O15, with properties calculated at the PBE level.

The total energy after the MP2020 corrections is -353.58 eV per cell. As for the raw total energy: -332.97 eV per cell. For the formation enthalpy at 0 K, the calculation gives -2952 meV/atom.

Lattice parameters (Å, degrees): 7.8201 7.7031 11.2433 90.00 103.33 90.00
Fractional positions:
Sr  0.1041  0.2500  0.2406
Sr  0.1450  0.7500  0.3939
Sr  0.2076  0.2500  0.9120
Sr  0.7924  0.7500  0.0880
Sr  0.8550  0.2500  0.6061
Sr  0.8959  0.7500  0.7594
Ti  0.5000  0.0000  0.5000
Ti  0.5000  0.5000  0.5000
Si  0.2437  0.5393  0.6997
Si  0.2437  0.9607  0.6997
Si  0.3747  0.5459  0.1984
Si  0.3747  0.9541  0.1984
Si  0.6253  0.0459  0.8016
Si  0.6253  0.4541  0.8016
Si  0.7563  0.0393  0.3003
Si  0.7563  0.4607  0.3003
O  0.0687  0.0416  0.7300
O  0.0687  0.4584  0.7300
O  0.0699  0.7500  0.0000
O  0.0957  0.2500  0.4777
O  0.2369  0.7500  0.7261
O  0.2495  0.0619  0.0906
O  0.2495  0.4381  0.0906
O  0.2736  0.5100  0.5613
O  0.2736  0.9900  0.5613
O  0.3090  0.7500  0.1909
O  0.3536  0.0274  0.3312
O  0.3536  0.4726  0.3312
O  0.4130  0.0438  0.8036
O  0.4130  0.4562  0.8036
O  0.4804  0.7500  0.4798
O  0.5196  0.2500  0.5202
O  0.5870  0.5438  0.1964
O  0.5870  0.9562  0.1964
O  0.6464  0.5274  0.6688
O  0.6464  0.9726  0.6688
O  0.6910  0.2500  0.8091
O  0.7264  0.0100  0.4387
O  0.7264  0.4900  0.4387
O  0.7505  0.5619  0.9094
O  0.7505  0.9381  0.9094
O  0.7631  0.2500  0.2739
O  0.9043  0.7500  0.5223
O  0.9301  0.2500  0.0000
O  0.9313  0.5416  0.2700
O  0.9313  0.9584  0.2700

***

Entry 2:
Below is a relaxed structure of Sr2TiSi2O8, with properties calculated at the PBE level.

The total energy after the MP2020 corrections is -212.46 eV per cell. As for the raw total energy: -201.46 eV per cell. For the formation enthalpy at 0 K, the calculation gives -3425 meV/atom.

Lattice parameters (Å, degrees): 8.4882 8.4882 5.1087 90.00 90.00 90.00
Fractional positions:
Sr  0.1734  0.3266  0.0000
Sr  0.3266  0.8266  0.0000
Sr  0.6734  0.1734  0.0000
Sr  0.8266  0.6734  0.0000
Ti  0.0000  0.0000  0.5565
Ti  0.5000  0.5000  0.5565
Si  0.1294  0.6294  0.5327
Si  0.3706  0.1294  0.5327
Si  0.6294  0.8706  0.5327
Si  0.8706  0.3706  0.5327
O  0.0000  0.0000  0.2223
O  0.0000  0.5000  0.6586
O  0.0806  0.7947  0.6758
O  0.1282  0.6282  0.2186
O  0.2053  0.0806  0.6758
O  0.2947  0.5806  0.6758
O  0.3718  0.1282  0.2186
O  0.4194  0.2947  0.6758
O  0.5000  0.0000  0.6586
O  0.5000  0.5000  0.2223
O  0.5806  0.7053  0.6758
O  0.6282  0.8718  0.2186
O  0.7053  0.4194  0.6758
O  0.7947  0.9194  0.6758
O  0.8718  0.3718  0.2186
O  0.9194  0.2053  0.6758

***

Entry 3:
Below is a relaxed structure of SrY2Si3O10, with properties calculated at the PBE level.

The total energy after the MP2020 corrections is -275.71 eV per cell. As for the raw total energy: -261.97 eV per cell. For the formation enthalpy at 0 K, the calculation gives -3592 meV/atom.

Lattice parameters (Å, degrees): 6.8391 6.9806 9.3928 72.49 86.20 87.80
Fractional positions:
Sr  0.0992  0.4068  0.3181
Sr  0.9008  0.5932  0.6819
Y  0.3407  0.2365  0.6904
Y  0.3589  0.7465  0.9912
Y  0.6411  0.2535  0.0088
Y  0.6593  0.7635  0.3096
Si  0.1658  0.8585  0.3308
Si  0.1733  0.2268  0.0419
Si  0.3774  0.7548  0.6256
Si  0.6226  0.2452  0.3744
Si  0.8267  0.7732  0.9581
Si  0.8342  0.1415  0.6692
O  0.0299  0.2764  0.6205
O  0.0336  0.7106  0.0331
O  0.1192  0.0864  0.2201
O  0.2393  0.8853  0.4869
O  0.2682  0.5446  0.7128
O  0.3184  0.4001  0.0643
O  0.3224  0.1031  0.9536
O  0.3311  0.7421  0.2492
O  0.3816  0.8929  0.7400
O  0.4117  0.2914  0.4492
O  0.5883  0.7086  0.5508
O  0.6184  0.1071  0.2600
O  0.6689  0.2579  0.7508
O  0.6776  0.8969  0.0464
O  0.6816  0.5999  0.9357
O  0.7318  0.4554  0.2872
O  0.7607  0.1147  0.5131
O  0.8808  0.9136  0.7799
O  0.9664  0.2894  0.9669
O  0.9701  0.7236  0.3795

***

Entry 4:
Below is a relaxed structure of Tb5Si3O13, with properties calculated at the PBE level.

The total energy after the MP2020 corrections is -360.68 eV per cell. As for the raw total energy: -342.82 eV per cell. For the formation enthalpy at 0 K, the calculation gives -3646 meV/atom.

Lattice parameters (Å, degrees): 9.5109 9.5109 6.8399 90.00 90.00 120.00
Fractional positions:
Tb  0.0014  0.7674  0.2500
Tb  0.2326  0.2339  0.2500
Tb  0.2339  0.0014  0.7500
Tb  0.3333  0.6667  0.0036
Tb  0.3333  0.6667  0.4964
Tb  0.6667  0.3333  0.5036
Tb  0.6667  0.3333  0.9964
Tb  0.7661  0.9986  0.2500
Tb  0.7674  0.7661  0.7500
Tb  0.9986  0.2326  0.7500
Si  0.0271  0.6285  0.7500
Si  0.3715  0.3986  0.7500
Si  0.3986  0.0271  0.2500
Si  0.6014  0.9729  0.7500
Si  0.6285  0.6014  0.2500
Si  0.9729  0.3715  0.2500
O  0.0000  0.0000  0.2500
O  0.0000  0.0000  0.7500
O  0.0894  0.7518  0.5605
O  0.0894  0.7518  0.9395
O  0.1282  0.5293  0.7500
O  0.1694  0.4893  0.2500
O  0.2482  0.3376  0.5605
O  0.2482  0.3376  0.9395
O  0.3199  0.8306  0.2500
O  0.3376  0.0894  0.0605
O  0.3376  0.0894  0.4395
O  0.4011  0.8718  0.7500
O  0.4707  0.5989  0.7500
O  0.4893  0.3199  0.7500
O  0.5107  0.6801  0.2500
O  0.5293  0.4011  0.2500
O  0.5989  0.1282  0.2500
O  0.6624  0.9106  0.5605
O  0.6624  0.9106  0.9395
O  0.6801  0.1694  0.7500
O  0.7518  0.6624  0.0605
O  0.7518  0.6624  0.4395
O  0.8306  0.5107  0.7500
O  0.8718  0.4707  0.2500
O  0.9106  0.2482  0.0605
O  0.9106  0.2482  0.4395